A relaxed structure of K2SiAs2, computed with PBE.

The calculated volume comes out at 30.61 A^3/atom. The total DFT energy (no corrections) is -3.85 eV per atom. As for the formation energy: -0.454 eV/atom.

It has space group Ibam (No. 72), with a = 7.074 Å, b = 13.442 Å, c = 6.439 Å, α = 90.00°, β = 90.00° and γ = 90.00°. The inequivalent atoms are K at (0.165, 0.143, 0.000), Si at (0.000, 0.500, 0.250) and As at (0.165, 0.399, 0.000).

A relaxed structure of KRb2TlBr6, computed with PBE.

The calculated volume comes out at 41.38 A^3/atom. The total DFT energy (no corrections) is -2.75 eV per atom. As for the formation energy: -1.549 eV/atom.

It has space group Fm-3m (No. 225), with a = 11.829 Å, b = 11.829 Å, c = 11.829 Å, α = 90.00°, β = 90.00° and γ = 90.00°. The inequivalent atoms are K at (0.000, 0.000, 0.000), Rb at (0.250, 0.250, 0.250), Tl at (0.000, 0.000, 0.500) and Br at (0.000, 0.000, 0.265).

Look up the calculated volume of the first one.
30.61 A^3/atom

Copy entry 2 word for word.
A relaxed structure of KRb2TlBr6, computed with PBE.

The calculated volume comes out at 41.38 A^3/atom. The total DFT energy (no corrections) is -2.75 eV per atom. As for the formation energy: -1.549 eV/atom.

It has space group Fm-3m (No. 225), with a = 11.829 Å, b = 11.829 Å, c = 11.829 Å, α = 90.00°, β = 90.00° and γ = 90.00°. The inequivalent atoms are K at (0.000, 0.000, 0.000), Rb at (0.250, 0.250, 0.250), Tl at (0.000, 0.000, 0.500) and Br at (0.000, 0.000, 0.265).